Record 1
## Sm4Sb3 (meta-GGA r2SCAN)

Data for a relaxed Sm4Sb3 crystal.

abc: 8.1234 8.1234 8.1234
angles: 109.47 109.47 109.47
Last column: nearest neighbours and their distance in Å.
Positions (direct):
Sm 0.0000 0.1418 0.5000  6 Sb 3.12-3.38
Sm 0.0000 0.6418 0.5000  6 Sb 3.12-3.38
Sm 0.1418 0.5000 0.0000  6 Sb 3.12-3.38
Sm 0.3582 0.3582 0.3582  6 Sb 3.12-3.38
Sm 0.5000 0.0000 0.1418  6 Sb 3.12-3.38
Sm 0.5000 0.0000 0.6418  6 Sb 3.12-3.38
Sm 0.6418 0.5000 0.0000  6 Sb 3.12-3.38
Sm 0.8582 0.8582 0.8582  6 Sb 3.12-3.38
Sb 0.1250 0.8750 0.2500  8 Sm 3.12-3.38
Sb 0.2500 0.1250 0.8750  8 Sm 3.12-3.38
Sb 0.3750 0.6250 0.7500  8 Sm 3.12-3.38
Sb 0.6250 0.7500 0.3750  8 Sm 3.12-3.38
Sb 0.7500 0.3750 0.6250  8 Sm 3.12-3.38
Sb 0.8750 0.2500 0.1250  8 Sm 3.12-3.38

## Properties
Space group: No. 220
Formation enthalpy at 0 K: -828 kJ/mol of formula units
Electronic total energy: -29.233 eV per atom

Record 2
## CaTiF6 (meta-GGA r2SCAN)

Data for a relaxed CaTiF6 crystal.

abc: 5.7536 5.7536 5.7536
angles: 57.90 57.90 57.90
Last column: nearest neighbours and their distance in Å.
Positions (direct):
Ca 0.0000 0.0000 0.0000  6 F 2.26
Ti 0.5000 0.5000 0.5000  6 F 1.88
F 0.1834 0.7236 0.3658  1 Ti 1.88
F 0.2764 0.6342 0.8166  1 Ti 1.88
F 0.3658 0.1834 0.7236  1 Ti 1.88
F 0.6342 0.8166 0.2764  1 Ti 1.88
F 0.7236 0.3658 0.1834  1 Ti 1.88
F 0.8166 0.2764 0.6342  1 Ti 1.88

## Properties
Space group: No. 148
Formation enthalpy at 0 K: -2985 kJ/mol of formula units
Electronic total energy: -8.709 eV per atom

Record 3
## Ce2SnS5 (meta-GGA r2SCAN)

Data for a relaxed Ce2SnS5 crystal.

abc: 7.8773 11.4721 3.9335
angles: 90.00 90.00 90.00
Last column: nearest neighbours and their distance in Å.
Positions (direct):
Ce 0.0459 0.1726 0.0000  8 S 2.81-3.08
Ce 0.4541 0.6726 0.0000  8 S 2.81-3.08
Ce 0.5459 0.3274 0.0000  8 S 2.81-3.08
Ce 0.9541 0.8274 0.0000  8 S 2.81-3.08
Sn 0.0000 0.5000 0.5000  6 S 2.60
Sn 0.5000 0.0000 0.5000  6 S 2.60
S 0.0000 0.0000 0.5000  4 Ce 2.81
S 0.1643 0.6962 0.5000  1 Sn 2.60
S 0.1762 0.4144 0.0000  2 Sn 2.60
S 0.3238 0.9144 0.0000  2 Sn 2.60
S 0.3357 0.1962 0.5000  1 Sn 2.60
S 0.5000 0.5000 0.5000  4 Ce 2.81
S 0.6643 0.8038 0.5000  1 Sn 2.60
S 0.6762 0.0856 0.0000  2 Sn 2.60
S 0.8238 0.5856 0.0000  2 Sn 2.60
S 0.8357 0.3038 0.5000  1 Sn 2.60

## Properties
Space group: No. 55
Formation enthalpy at 0 K: -1298 kJ/mol of formula units
Electronic total energy: -17.506 eV per atom

Record 4
## HoTmCd2 (meta-GGA r2SCAN)

Data for a relaxed HoTmCd2 crystal.

abc: 5.2116 5.2116 5.2116
angles: 60.00 60.00 60.00
Last column: nearest neighbours and their distance in Å.
Positions (direct):
Ho 0.0000 0.0000 0.0000  8 Cd 3.19
Tm 0.5000 0.5000 0.5000  8 Cd 3.19
Cd 0.2500 0.2500 0.2500  4 Ho 3.19, 4 Tm 3.19
Cd 0.7500 0.7500 0.7500  4 Ho 3.19, 4 Tm 3.19

## Properties
Space group: No. 225
Formation enthalpy at 0 K: -146 kJ/mol of formula units
Electronic total energy: -27.431 eV per atom

Record 5
## NdBC (meta-GGA r2SCAN)

Data for a relaxed NdBC crystal.

abc: 8.4465 8.4963 12.2764
angles: 90.00 90.00 90.00
Last column: nearest neighbours and their distance in Å.
Positions (direct):
Nd 0.0484 0.0968 0.1402  4 C 2.71-2.73, 6 B 2.75-2.85
Nd 0.0631 0.6990 0.6344  4 C 2.63-2.83, 4 B 2.71-2.78
Nd 0.1578 0.5934 0.9046  5 C 2.63-2.86, 3 B 2.66-2.86
Nd 0.1606 0.9911 0.4207  4 C 2.53-2.78
Nd 0.2452 0.2889 0.6740  3 C 2.54-2.69, 1 B 2.77
Nd 0.2548 0.7111 0.1740  3 C 2.54-2.69, 1 B 2.77
Nd 0.3394 0.0089 0.9207  4 C 2.53-2.78
Nd 0.3422 0.4066 0.4046  5 C 2.63-2.86, 3 B 2.66-2.86
Nd 0.4369 0.3010 0.1344  4 C 2.63-2.83, 4 B 2.71-2.78
Nd 0.4516 0.9032 0.6402  4 C 2.71-2.73, 6 B 2.75-2.85
Nd 0.5484 0.4032 0.8598  4 C 2.71-2.73, 6 B 2.75-2.85
Nd 0.5631 0.8010 0.3656  4 C 2.63-2.83, 4 B 2.71-2.78
Nd 0.6578 0.9066 0.0954  5 C 2.63-2.86, 3 B 2.66-2.86
Nd 0.6606 0.5089 0.5793  4 C 2.53-2.78
Nd 0.7452 0.2111 0.3260  3 C 2.54-2.69, 1 B 2.77
Nd 0.7548 0.7889 0.8260  3 C 2.54-2.69, 1 B 2.77
Nd 0.8394 0.4911 0.0793  4 C 2.53-2.78
Nd 0.8422 0.0934 0.5954  5 C 2.63-2.86, 3 B 2.66-2.86
Nd 0.9369 0.1990 0.8656  4 C 2.63-2.83, 4 B 2.71-2.78
Nd 0.9516 0.5968 0.3598  4 C 2.71-2.73, 6 B 2.75-2.85
B 0.0179 0.8897 0.9592  2 C 1.48
B 0.0616 0.2973 0.3211  1 C 1.49, 1 B 1.63
B 0.0950 0.9768 0.7400  2 C 1.46-1.48
B 0.1162 0.3964 0.2134  1 C 1.50, 1 B 1.63
B 0.1830 0.3084 0.9917  2 C 1.46-1.48
B 0.3170 0.6916 0.4917  2 C 1.46-1.48
B 0.3838 0.6036 0.7134  1 C 1.50, 1 B 1.63
B 0.4050 0.0232 0.2400  2 C 1.46-1.48
B 0.4384 0.7027 0.8211  1 C 1.49, 1 B 1.63
B 0.4821 0.1103 0.4592  2 C 1.48
B 0.5179 0.6103 0.0408  2 C 1.48
B 0.5616 0.2027 0.6789  1 C 1.49, 1 B 1.63
B 0.5950 0.5232 0.2600  2 C 1.46-1.48
B 0.6162 0.1036 0.7866  1 C 1.50, 1 B 1.63
B 0.6830 0.1916 0.0083  2 C 1.46-1.48
B 0.8170 0.8084 0.5083  2 C 1.46-1.48
B 0.8838 0.8964 0.2866  1 C 1.50, 1 B 1.63
B 0.9050 0.4768 0.7600  2 C 1.46-1.48
B 0.9384 0.7973 0.1789  1 C 1.49, 1 B 1.63
B 0.9821 0.3897 0.5408  2 C 1.48
C 0.0245 0.3050 0.4394  2 B 1.48-1.49
C 0.0558 0.8899 0.8413  2 B 1.48
C 0.1449 0.3955 0.0930  2 B 1.48-1.50
C 0.1456 0.9971 0.6267  1 B 1.46
C 0.2444 0.2987 0.8808  1 B 1.46
C 0.2556 0.7013 0.3808  1 B 1.46
C 0.3544 0.0029 0.1267  1 B 1.46
C 0.3551 0.6045 0.5930  2 B 1.48-1.50
C 0.4442 0.1101 0.3413  2 B 1.48
C 0.4755 0.6950 0.9394  2 B 1.48-1.49
C 0.5245 0.1950 0.5606  2 B 1.48-1.49
C 0.5558 0.6101 0.1587  2 B 1.48
C 0.6449 0.1045 0.9070  2 B 1.48-1.50
C 0.6456 0.5029 0.3733  1 B 1.46
C 0.7444 0.2013 0.1192  1 B 1.46
C 0.7556 0.7987 0.6192  1 B 1.46
C 0.8544 0.4971 0.8733  1 B 1.46
C 0.8551 0.8955 0.4070  2 B 1.48-1.50
C 0.9442 0.3899 0.6587  2 B 1.48
C 0.9755 0.8050 0.0606  2 B 1.48-1.49

## Properties
Space group: No. 19
Formation enthalpy at 0 K: -143 kJ/mol of formula units
Electronic total energy: -16.064 eV per atom

Record 6
## Ba3Te2O9 (meta-GGA r2SCAN)

Data for a relaxed Ba3Te2O9 crystal.

abc: 5.8962 5.8962 14.3750
angles: 90.00 90.00 120.00
Last column: nearest neighbours and their distance in Å.
Positions (direct):
Ba 0.3333 0.6667 0.0615  9 O 2.80-2.98
Ba 0.3333 0.6667 0.4385  9 O 2.80-2.98
Ba 0.3333 0.6667 0.7500  12 O 2.87-2.96
Ba 0.6667 0.3333 0.2500  12 O 2.87-2.96
Ba 0.6667 0.3333 0.5615  9 O 2.80-2.98
Ba 0.6667 0.3333 0.9385  9 O 2.80-2.98
Te 0.0000 0.0000 0.1495  6 O 1.86-2.05
Te 0.0000 0.0000 0.3505  6 O 1.86-2.05
Te 0.0000 0.0000 0.6495  6 O 1.86-2.05
Te 0.0000 0.0000 0.8505  6 O 1.86-2.05
O 0.1422 0.2844 0.2500  2 Te 2.05
O 0.1422 0.8578 0.2500  2 Te 2.05
O 0.1629 0.3258 0.5912  1 Te 1.86
O 0.1629 0.3258 0.9088  1 Te 1.86
O 0.1629 0.8371 0.5912  1 Te 1.86
O 0.1629 0.8371 0.9088  1 Te 1.86
O 0.2844 0.1422 0.7500  2 Te 2.05
O 0.3258 0.1629 0.0912  1 Te 1.86
O 0.3258 0.1629 0.4088  1 Te 1.86
O 0.6742 0.8371 0.5912  1 Te 1.86
O 0.6742 0.8371 0.9088  1 Te 1.86
O 0.7156 0.8578 0.2500  2 Te 2.05
O 0.8371 0.1629 0.0912  1 Te 1.86
O 0.8371 0.1629 0.4088  1 Te 1.86
O 0.8371 0.6742 0.0912  1 Te 1.86
O 0.8371 0.6742 0.4088  1 Te 1.86
O 0.8578 0.1422 0.7500  2 Te 2.05
O 0.8578 0.7156 0.7500  2 Te 2.05

## Properties
Space group: No. 194
Formation enthalpy at 0 K: -2917 kJ/mol of formula units
Electronic total energy: -15.309 eV per atom